Entry 1:
La10Os2I15 GGA-PBE relaxed; formation energy from the elements = -1499 meV/atom
1.0
10.164 0.000 0.000
-3.854 10.493 0.000
-4.840 -2.266 10.688
I La Os
15 10 2
direct
0.265 0.088 0.056
0.341 0.444 0.302
0.611 0.200 0.466
0.855 0.613 0.418
0.735 0.912 0.944
0.145 0.387 0.582
0.093 0.041 0.340
0.214 0.739 0.817
0.566 0.846 0.228
0.389 0.800 0.534
0.786 0.261 0.183
0.907 0.959 0.660
0.434 0.154 0.772
0.500 0.500 0.000
0.659 0.556 0.698
0.164 0.249 0.823
0.701 0.095 0.724
0.836 0.751 0.177
0.775 0.419 0.947
0.912 0.454 0.670
0.025 0.206 0.097
0.088 0.546 0.330
0.975 0.794 0.903
0.225 0.581 0.053
0.299 0.905 0.276
0.032 0.675 0.120
0.968 0.325 0.880

---

Entry 2:
SrZrO3 GGA-PBE relaxed; formation energy from the elements = -3614 meV/atom
1.0
-0.764 4.052 -0.666
-3.748 -0.411 1.798
1.718 0.948 3.798
Zr O Sr
1 3 1
direct
0.000 0.000 0.005
0.500 0.000 0.951
0.000 0.000 0.479
0.000 0.500 0.951
0.500 0.500 0.559

---

VASP energy / Ry per atom: -0.352; -0.604